# 1
An optimized crystal structure of Hf5Si3N, computed with PBE-GGA.

The structure in POSCAR format:
```
Hf5Si3N
1.0
7.829 0.000 0.000
-3.915 6.781 0.000
0.000 0.000 5.557
Hf Si N
10 6 2
Direct
0.000 0.235 0.250
0.000 0.765 0.750
0.235 0.000 0.250
0.235 0.235 0.750
0.333 0.667 0.000
0.333 0.667 0.500
0.667 0.333 0.000
0.667 0.333 0.500
0.765 0.000 0.750
0.765 0.765 0.250
0.000 0.404 0.750
0.000 0.596 0.250
0.404 0.000 0.750
0.404 0.404 0.250
0.596 0.000 0.250
0.596 0.596 0.750
0.000 0.000 0.000
0.000 0.000 0.500
```

formation enthalpy at 0 K: -1.081 eV per atom
total DFT energy (no corrections): -9.308 eV/atom
total energy after the MP2020 corrections: -9.348 eV/atom
volume: 295 Å³/cell

---

# 2
An optimized crystal structure of PbBr2O6, computed with PBE-GGA.

The structure in POSCAR format:
```
PbBr2O6
1.0
6.120 -3.947 0.000
6.120 3.947 0.000
-5.303 0.000 6.477
Pb Br O
2 4 12
Direct
0.156 0.844 0.750
0.844 0.156 0.250
0.296 0.319 0.310
0.319 0.296 0.810
0.681 0.704 0.190
0.704 0.681 0.690
0.083 0.193 0.648
0.193 0.083 0.148
0.218 0.411 0.503
0.236 0.573 0.915
0.411 0.218 0.003
0.427 0.764 0.585
0.573 0.236 0.415
0.589 0.782 0.997
0.764 0.427 0.085
0.782 0.589 0.497
0.807 0.917 0.852
0.917 0.807 0.352
```

formation enthalpy at 0 K: -0.656 eV per atom
E above lowest polymorph: 0.000 eV per atom
total DFT energy (no corrections): -4.272 eV/atom
total energy after the MP2020 corrections: -4.730 eV/atom
volume: 313 Å³/cell

---

# 3
An optimized crystal structure of TbPd, computed with PBE-GGA.

The structure in POSCAR format:
```
TbPd
1.0
6.964 0.000 0.000
0.000 4.686 0.000
0.000 0.000 5.559
Tb Pd
4 4
Direct
0.182 0.250 0.140
0.318 0.750 0.640
0.682 0.250 0.360
0.818 0.750 0.860
0.044 0.250 0.651
0.456 0.750 0.151
0.544 0.250 0.849
0.956 0.750 0.349
```

formation enthalpy at 0 K: -0.916 eV per atom
total DFT energy (no corrections): -5.823 eV/atom
volume: 181 Å³/cell

---

# 4
An optimized crystal structure of Cs3Tl2Br9, computed with PBE-GGA.

The structure in POSCAR format:
```
Cs3Tl2Br9
1.0
9.993 0.000 0.000
0.000 8.122 0.000
-0.918 0.000 14.374
Cs Tl Br
6 4 18
Direct
0.027 0.000 0.225
0.325 0.000 0.924
0.362 0.500 0.386
0.638 0.000 0.614
0.675 0.500 0.076
0.973 0.500 0.775
0.193 0.500 0.085
0.203 0.003 0.570
0.797 0.503 0.430
0.807 0.000 0.915
0.000 0.250 0.000
0.000 0.750 0.000
0.030 0.500 0.233
0.040 0.534 0.507
0.295 0.747 0.666
0.299 0.255 0.668
0.311 0.500 0.921
0.347 0.998 0.420
0.349 0.250 0.161
0.349 0.750 0.161
0.651 0.250 0.839
0.651 0.750 0.839
0.653 0.498 0.580
0.689 0.000 0.079
0.701 0.755 0.332
0.705 0.247 0.334
0.960 0.034 0.493
0.970 0.000 0.767
```

formation enthalpy at 0 K: -1.452 eV per atom
E above lowest polymorph: 0.000 eV per atom
total DFT energy (no corrections): -2.690 eV/atom
total energy after the MP2020 corrections: -3.034 eV/atom
volume: 1167 Å³/cell